No. 1
Below is crystalline Sc2Nb3Ge4 at its relaxed geometry, with properties calculated at the GGA-PBE level.

Values from the calculation:
The raw total energy is -7.388 eV per atom. The value obtained for the formation energy is -559 meV/atom. The calculation puts the distance to the lowest polymorph of the same formula at 157 meV/atom. Its theoretical density is 6.91 g/cm3.

```
36
Lattice="6.780 0.000 0.000 0.000 13.348 0.000 0.000 0.000 7.006" Properties=species:S:1:pos:R:3 pbc="T T T"
Sc 1.063 1.661 1.167
Sc 1.063 5.013 1.167
Sc 2.327 8.335 4.670
Sc 2.327 11.688 4.670
Sc 4.453 1.661 2.336
Sc 4.453 5.013 2.336
Sc 5.718 8.335 5.839
Sc 5.718 11.688 5.839
Nb 0.059 7.895 2.255
Nb 0.059 12.127 2.255
Nb 1.141 10.011 0.019
Nb 2.249 3.337 3.523
Nb 3.332 1.221 5.759
Nb 3.332 5.453 5.759
Nb 3.449 7.895 1.248
Nb 3.449 12.127 1.248
Nb 4.532 10.011 3.484
Nb 5.639 3.337 6.987
Nb 6.722 1.221 4.751
Nb 6.722 5.453 4.751
Ge 0.247 10.011 4.221
Ge 1.279 7.221 6.765
Ge 1.279 12.801 6.765
Ge 1.296 3.337 5.944
Ge 2.094 10.011 2.441
Ge 2.112 0.547 3.261
Ge 2.112 6.127 3.261
Ge 3.143 3.337 0.718
Ge 3.637 10.011 6.288
Ge 4.669 7.221 3.745
Ge 4.669 12.801 3.745
Ge 4.686 3.337 4.565
Ge 5.485 10.011 1.062
Ge 5.502 0.547 0.242
Ge 5.502 6.127 0.242
Ge 6.533 3.337 2.785
```


No. 2
Below is crystalline Nb4GeSe8 at its relaxed geometry, with properties calculated at the GGA-PBE level.

Values from the calculation:
The raw total energy is -6.392 eV per atom. The value obtained for the formation energy is -1068 meV/atom. Its theoretical density is 5.97 g/cm3.

```
13
Lattice="14.356 -1.757 0.000 14.356 1.757 0.000 -1.280 0.000 5.934" Properties=species:S:1:pos:R:3 pbc="T T T"
Nb 3.500 0.000 0.820
Nb 10.175 0.000 2.257
Nb 17.256 0.000 3.677
Nb 23.931 0.000 5.113
Ge 13.715 0.000 2.967
Se 1.035 0.000 4.383
Se 4.254 0.000 5.071
Se 8.121 0.000 3.828
Se 11.441 0.000 4.562
Se 15.990 0.000 1.372
Se 19.310 0.000 2.105
Se 23.177 0.000 0.862
Se 26.395 0.000 1.550
```


No. 3
Below is crystalline NbSiGe at its relaxed geometry, with properties calculated at the GGA-PBE level.

Values from the calculation:
The raw total energy is -7.138 eV per atom. The value obtained for the formation energy is -421 meV/atom. Its theoretical density is 6.85 g/cm3.

```
9
Lattice="4.916 0.000 0.000 -2.458 4.257 0.000 0.000 0.000 6.724" Properties=species:S:1:pos:R:3 pbc="T T T"
Nb -1.215 2.137 0.000
Nb 1.215 2.137 4.483
Nb 0.000 4.241 2.241
Si 0.000 1.382 2.241
Si -1.261 3.566 4.483
Si 1.261 3.566 0.000
Ge 1.192 0.688 0.000
Ge 3.724 0.688 4.483
Ge 2.458 2.881 2.241
```


No. 4
Below is crystalline Nb6SiGe at its relaxed geometry, with properties calculated at the GGA-PBE level.

Values from the calculation:
The raw total energy is -9.135 eV per atom. The value obtained for the formation energy is -303 meV/atom. Its theoretical density is 7.98 g/cm3.

```
8
Lattice="5.154 0.000 0.000 0.000 5.154 0.000 0.000 0.000 5.154" Properties=species:S:1:pos:R:3 pbc="T T T"
Nb 0.000 1.266 2.577
Nb 0.000 3.888 2.577
Nb 1.266 2.577 0.000
Nb 2.577 0.000 1.266
Nb 2.577 0.000 3.888
Nb 3.888 2.577 0.000
Si 0.000 0.000 0.000
Ge 2.577 2.577 2.577
```


No. 5
Below is crystalline Nb10Sn3Ge3 at its relaxed geometry, with properties calculated at the GGA-PBE level.

Values from the calculation:
The raw total energy is -8.246 eV per atom. The value obtained for the formation energy is -314 meV/atom. Its theoretical density is 8.53 g/cm3.

```
16
Lattice="0.000 7.505 7.434 2.622 0.000 7.434 2.622 7.505 0.000" Properties=species:S:1:pos:R:3 pbc="T T T"
Nb 2.622 1.538 7.434
Nb 2.622 5.963 5.333
Nb 2.622 4.870 8.558
Nb 3.927 7.505 10.226
Nb 2.622 9.047 5.333
Nb 2.622 4.947 11.727
Nb 2.622 10.140 8.558
Nb 2.622 13.472 7.434
Nb 1.316 7.505 10.226
Nb 2.622 10.063 11.727
Sn 2.622 4.961 2.689
Sn 2.622 10.049 2.689
Sn 2.622 7.505 7.668
Ge 1.311 3.752 6.415
Ge 2.622 7.505 12.639
Ge 3.932 11.257 13.848
```


No. 6
Below is crystalline Nb6SnGe at its relaxed geometry, with properties calculated at the GGA-PBE level.

Values from the calculation:
The raw total energy is -8.856 eV per atom. The value obtained for the formation energy is -201 meV/atom. Its theoretical density is 8.56 g/cm3.

```
8
Lattice="5.258 0.000 0.000 0.000 5.258 0.000 0.000 0.000 5.258" Properties=species:S:1:pos:R:3 pbc="T T T"
Nb 0.000 1.273 2.629
Nb 0.000 3.984 2.629
Nb 1.273 2.629 0.000
Nb 2.629 0.000 1.273
Nb 2.629 0.000 3.984
Nb 3.984 2.629 0.000
Sn 2.629 2.629 2.629
Ge 0.000 0.000 0.000
```


No. 7
Below is crystalline Nb3GeTe6 at its relaxed geometry, with properties calculated at the GGA-PBE level.

Values from the calculation:
The raw total energy is -5.846 eV per atom. The value obtained for the formation energy is -721 meV/atom. Its theoretical density is 6.51 g/cm3.

```
40
Lattice="6.531 0.000 0.000 0.000 14.914 0.000 0.000 0.000 11.705" Properties=species:S:1:pos:R:3 pbc="T T T"
Nb 0.244 3.728 2.172
Nb 1.135 11.185 3.905
Nb 1.293 11.185 0.379
Nb 1.973 3.728 6.231
Nb 2.131 3.728 9.758
Nb 3.022 11.185 8.025
Nb 3.509 3.728 3.681
Nb 4.401 11.185 1.948
Nb 4.559 11.185 5.474
Nb 5.239 3.728 11.327
Nb 5.396 3.728 7.800
Nb 6.288 11.185 9.533
Ge 0.486 11.185 6.731
Ge 2.780 3.728 0.878
Ge 3.752 11.185 10.827
Ge 6.046 3.728 4.974
Te 0.877 1.895 11.624
Te 0.877 5.562 11.624
Te 0.947 1.837 7.986
Te 0.947 5.620 7.986
Te 1.416 1.847 3.985
Te 1.416 5.610 3.985
Te 1.850 9.304 9.837
Te 1.850 13.067 9.837
Te 2.319 9.294 2.133
Te 2.319 13.077 2.133
Te 2.388 9.352 5.771
Te 2.388 13.019 5.771
Te 4.143 1.895 5.934
Te 4.143 5.562 5.934
Te 4.212 1.837 9.572
Te 4.212 5.620 9.572
Te 4.682 1.847 1.868
Te 4.682 5.610 1.868
Te 5.115 9.304 7.721
Te 5.115 13.067 7.721
Te 5.585 9.294 3.719
Te 5.585 13.077 3.719
Te 5.654 9.352 0.082
Te 5.654 13.019 0.082
```